NaCa3Mg3FeSi8O24, optimized geometry, DFT GGA+U; E = -7.293 eV per atom; DFT formation energy = -3192 meV per atom; theoretical density = 3.23 g cm⁻³
1.0
8.9929 0.0000 0.0000
0.0000 5.3197 0.0000
0.0000 2.5473 9.4507
O Fe Si Mg Ca Na
24 1 8 3 3 1
Direct
0.5870 0.7238 0.3843
0.0170 0.6035 0.6486
0.9837 0.1018 0.6511
0.2465 0.3001 0.1385
0.5870 0.2762 0.6157
0.2494 0.2926 0.6380
0.7494 0.2058 0.8620
0.9169 0.2802 0.1144
0.7506 0.7929 0.6388
0.7494 0.7942 0.1380
0.4107 0.2230 0.3836
0.2465 0.6999 0.8615
0.0830 0.7680 0.1143
0.5174 0.8951 0.8501
0.7506 0.2071 0.3612
0.9837 0.8982 0.3489
0.4107 0.7770 0.6164
0.2494 0.7074 0.3620
0.4851 0.4010 0.8504
0.9169 0.7198 0.8856
0.0170 0.3965 0.3514
0.0830 0.2320 0.8857
0.4851 0.5990 0.1496
0.5174 0.1049 0.1499
0.1025 0.5000 0.0000
0.4075 0.3066 0.2121
0.9078 0.8060 0.7131
0.0939 0.3075 0.7142
0.5910 0.8076 0.2124
0.9078 0.1940 0.2869
0.5910 0.1924 0.7876
0.4075 0.6934 0.7879
0.0939 0.6925 0.2858
0.4082 0.5000 0.5000
0.5912 0.0000 0.5000
0.9062 0.0000 0.0000
0.7980 0.5000 0.5000
0.2016 0.0000 0.5000
0.6960 0.5000 0.0000
0.3029 0.0000 0.0000


La2MgWO6, optimized geometry, DFT GGA+U; E = -7.670 eV per atom; DFT formation energy = -3114 meV per atom; theoretical density = 7.35 g cm⁻³
1.0
-4.3266 0.1817 3.6279
-2.8762 -4.7533 1.0237
0.5855 -2.4868 5.0386
O La W Mg
6 2 1 1
Direct
0.3353 0.1631 0.7489
0.1631 0.7489 0.3353
0.6647 0.8369 0.2511
0.2511 0.6647 0.8369
0.7489 0.3353 0.1631
0.8369 0.2511 0.6647
0.2511 0.2511 0.2511
0.7489 0.7489 0.7489
0.0000 0.0000 0.0000
0.5000 0.5000 0.5000


KMgInMo3O12, optimized geometry, DFT GGA+U; E = -6.619 eV per atom; DFT formation energy = -2201 meV per atom; theoretical density = 3.25 g cm⁻³
1.0
-5.9575 -7.5130 2.7327
2.3139 -9.5044 -1.9278
2.5516 -6.3566 7.2448
O Mo K In Mg
24 6 2 2 2
Direct
0.0072 0.6398 0.7788
0.8570 0.4958 0.7200
0.5632 0.4326 0.7770
0.7239 0.0716 0.9348
0.7788 0.0072 0.6398
0.9348 0.7239 0.0716
0.2239 0.4348 0.5716
0.4958 0.7200 0.8570
0.4348 0.5716 0.2239
0.1398 0.5072 0.2788
0.5072 0.2788 0.1398
0.0632 0.2770 0.9326
0.2788 0.1398 0.5072
0.5716 0.2239 0.4348
0.2770 0.9326 0.0632
0.3570 0.2200 0.9958
0.2200 0.9958 0.3570
0.9958 0.3570 0.2200
0.6398 0.7788 0.0072
0.7770 0.5632 0.4326
0.7200 0.8570 0.4958
0.4326 0.7770 0.5632
0.9326 0.0632 0.2770
0.0716 0.9348 0.7239
0.2525 0.9608 0.5344
0.9608 0.5344 0.2525
0.0344 0.4608 0.7525
0.5344 0.2525 0.9608
0.7525 0.0344 0.4608
0.4608 0.7525 0.0344
0.5009 0.5009 0.5009
0.0009 0.0009 0.0009
0.3558 0.3558 0.3558
0.8558 0.8558 0.8558
0.1439 0.1439 0.1439
0.6439 0.6439 0.6439


Ba2NaCe2Ti2FeSi8HO27, optimized geometry, DFT GGA+U; E = -7.731 eV per atom; DFT formation energy = -3166 meV per atom; theoretical density = 3.99 g cm⁻³
1.0
-5.4476 -4.0404 2.4374
-2.7896 5.2496 4.0745
-9.5018 3.7829 -6.0399
Na O Ba Fe Si Ti H Ce
1 27 2 1 8 2 1 2
Direct
0.0006 0.9994 0.0000
0.5649 0.1687 0.3663
0.1888 0.1779 0.0618
0.6653 0.1566 0.1254
0.8347 0.7084 0.7360
0.5298 0.4702 0.0000
0.9383 0.2917 0.2402
0.8221 0.8112 0.9382
0.8161 0.1839 0.5000
0.3165 0.9393 0.8802
0.5247 0.8557 0.3056
0.0607 0.6835 0.1198
0.8992 0.5736 0.3645
0.5538 0.4462 0.5000
0.3856 0.7354 0.7048
0.4560 0.3616 0.7762
0.8313 0.4351 0.6337
0.4543 0.8458 0.0948
0.2916 0.1653 0.2640
0.2646 0.6144 0.2952
0.7083 0.0617 0.7598
0.0208 0.9217 0.2694
0.6384 0.5440 0.2238
0.1443 0.4753 0.6944
0.0783 0.9792 0.7306
0.1542 0.5457 0.9052
0.8434 0.3347 0.8746
0.4264 0.1008 0.6355
0.1878 0.2999 0.4955
0.7001 0.8122 0.5045
0.3276 0.6724 0.0000
0.9053 0.4808 0.7423
0.1103 0.1411 0.2058
0.8589 0.8897 0.7942
0.4770 0.7161 0.2237
0.2839 0.5230 0.7763
0.3027 0.9386 0.7468
0.0614 0.6973 0.2532
0.5192 0.0947 0.2577
0.6352 0.2642 0.6282
0.7358 0.3648 0.3718
0.1433 0.8567 0.5000
0.8257 0.4912 0.0378
0.5088 0.1743 0.9622


NpW2O8, optimized geometry, DFT GGA+U; E = -8.278 eV per atom; DFT formation energy = -2453 meV per atom; theoretical density = 6.57 g cm⁻³
1.0
9.7732 0.0000 0.0000
0.0000 10.3891 0.0000
0.0000 0.0000 14.5848
O Np W
64 8 16
Direct
0.2374 0.0702 0.9639
0.7296 0.7300 0.6770
0.2704 0.2700 0.3230
0.4055 0.8625 0.0272
0.1198 0.3319 0.5023
0.0029 0.4182 0.3445
0.7625 0.4298 0.4639
0.7356 0.0024 0.2327
0.2296 0.7700 0.6770
0.1198 0.8319 0.9977
0.0951 0.1081 0.6311
0.0029 0.9182 0.1555
0.7644 0.0024 0.7327
0.5951 0.8919 0.8689
0.7375 0.4298 0.9639
0.7296 0.2300 0.8230
0.4049 0.1081 0.1311
0.2374 0.5702 0.5361
0.5951 0.3919 0.6311
0.6198 0.1681 0.5023
0.6129 0.8276 0.3755
0.4049 0.6081 0.3689
0.9055 0.6375 0.0272
0.8802 0.1681 0.0023
0.5945 0.6375 0.5272
0.3802 0.3319 0.0023
0.3871 0.1724 0.6245
0.9971 0.5818 0.6555
0.7704 0.7300 0.1770
0.4971 0.4182 0.8445
0.7704 0.2300 0.3230
0.0945 0.3625 0.9728
0.2356 0.4976 0.2327
0.7625 0.9298 0.0361
0.8871 0.8276 0.8755
0.1129 0.6724 0.3755
0.9971 0.0818 0.8445
0.5029 0.5818 0.1555
0.6129 0.3276 0.1245
0.7644 0.5024 0.7673
0.0945 0.8625 0.5272
0.6198 0.6681 0.9977
0.9049 0.3919 0.1311
0.5029 0.0818 0.3445
0.5945 0.1375 0.9728
0.2626 0.0702 0.4639
0.8871 0.3276 0.6245
0.2644 0.9976 0.7673
0.3802 0.8319 0.4977
0.2356 0.9976 0.2673
0.9049 0.8919 0.3689
0.2296 0.2700 0.8230
0.2626 0.5702 0.0361
0.4055 0.3625 0.4728
0.2644 0.4976 0.7327
0.8802 0.6681 0.4977
0.2704 0.7700 0.1770
0.1129 0.1724 0.1245
0.3871 0.6724 0.8755
0.4971 0.9182 0.6555
0.0951 0.6081 0.8689
0.7356 0.5024 0.2673
0.7375 0.9298 0.5361
0.9055 0.1375 0.4728
0.2769 0.4656 0.8897
0.7769 0.5344 0.6103
0.2231 0.4656 0.3897
0.7231 0.0344 0.3897
0.7231 0.5344 0.1103
0.7769 0.0344 0.8897
0.2231 0.9656 0.1103
0.2769 0.9656 0.6103
0.8186 0.3949 0.3482
0.5014 0.2760 0.5593
0.4986 0.7240 0.4407
0.1814 0.1051 0.8482
0.8186 0.8949 0.1518
0.0014 0.2240 0.5593
0.1814 0.6051 0.6518
0.5014 0.7760 0.9407
0.3186 0.1051 0.3482
0.4986 0.2240 0.0593
0.9986 0.7760 0.4407
0.0014 0.7240 0.9407
0.3186 0.6051 0.1518
0.6814 0.8949 0.6518
0.9986 0.2760 0.0593
0.6814 0.3949 0.8482


Li5FeHO4, optimized geometry, DFT GGA+U; E = -5.140 eV per atom; DFT formation energy = -1850 meV per atom; theoretical density = 2.34 g cm⁻³
1.0
-5.1629 -5.0952 5.2499
5.7309 -7.0194 -1.1767
5.6626 3.1734 8.6487
Li O H Fe
40 32 8 8
Direct
0.6080 0.9309 0.5134
0.7950 0.4119 0.3801
0.9816 0.9153 0.2020
0.5741 0.4341 0.0711
0.1181 0.2500 0.9769
0.9259 0.5659 0.5711
0.3920 0.4309 0.4866
0.4216 0.2500 0.9316
0.7950 0.0881 0.3801
0.3920 0.0691 0.4866
0.3819 0.7500 0.4769
0.9216 0.2500 0.5684
0.1080 0.9309 0.9866
0.8920 0.4309 0.0134
0.1080 0.5691 0.9866
0.4816 0.9153 0.2980
0.2050 0.9119 0.6199
0.4259 0.9341 0.9289
0.9816 0.5847 0.2020
0.4259 0.5659 0.9289
0.2950 0.4119 0.1199
0.7050 0.9119 0.8801
0.6181 0.2500 0.5231
0.5741 0.0659 0.0711
0.9259 0.9341 0.5711
0.8819 0.7500 0.0231
0.5184 0.0847 0.7020
0.5784 0.7500 0.0684
0.0741 0.0659 0.4289
0.7050 0.5881 0.8801
0.0784 0.7500 0.4316
0.4816 0.5847 0.2980
0.0741 0.4341 0.4289
0.2050 0.5881 0.6199
0.6080 0.5691 0.5134
0.0184 0.4153 0.7980
0.2950 0.0881 0.1199
0.5184 0.4153 0.7020
0.0184 0.0847 0.7980
0.8920 0.0691 0.0134
0.7562 0.9255 0.0975
0.9454 0.2500 0.3839
0.7438 0.4255 0.5975
0.0744 0.0828 0.1206
0.2438 0.0745 0.9025
0.5789 0.0844 0.8810
0.4226 0.2500 0.6074
0.4211 0.9156 0.1190
0.9211 0.5844 0.3810
0.4256 0.9172 0.6206
0.5774 0.7500 0.3926
0.9226 0.2500 0.8926
0.5789 0.4156 0.8810
0.5744 0.0828 0.3794
0.7562 0.5745 0.0975
0.9211 0.9156 0.3810
0.4454 0.2500 0.1161
0.0774 0.7500 0.1074
0.2562 0.5745 0.4025
0.2562 0.9255 0.4025
0.0789 0.0844 0.6190
0.5744 0.4172 0.3794
0.4211 0.5844 0.1190
0.4256 0.5828 0.6206
0.2438 0.4255 0.9025
0.0744 0.4172 0.1206
0.7438 0.0745 0.5975
0.0546 0.7500 0.6161
0.9256 0.9172 0.8794
0.5546 0.7500 0.8839
0.0789 0.4156 0.6190
0.9256 0.5828 0.8794
0.7746 0.4171 0.6847
0.2254 0.9171 0.3153
0.7746 0.0829 0.6847
0.2746 0.4171 0.8153
0.2254 0.5829 0.3153
0.2746 0.0829 0.8153
0.7254 0.9171 0.1847
0.7254 0.5829 0.1847
0.7109 0.2500 0.8755
0.9774 0.7500 0.7818
0.4774 0.7500 0.7182
0.7891 0.7500 0.3755
0.5226 0.2500 0.2818
0.2891 0.7500 0.1245
0.2109 0.2500 0.6245
0.0226 0.2500 0.2182


MnBO3, optimized geometry, DFT GGA+U; E = -7.776 eV per atom; DFT formation energy = -2385 meV per atom; theoretical density = 3.98 g cm⁻³
1.0
-2.4687 1.1224 4.9741
1.5729 3.4027 4.2478
-2.3252 4.7605 2.0068
O B Mn
6 2 2
Direct
0.0453 0.4547 0.7500
0.2500 0.9547 0.5453
0.4547 0.7500 0.0453
0.7500 0.0453 0.4547
0.9547 0.5453 0.2500
0.5453 0.2500 0.9547
0.7500 0.7500 0.7500
0.2500 0.2500 0.2500
0.0000 0.0000 0.0000
0.5000 0.5000 0.5000


Li4MnV3P8O28, optimized geometry, DFT GGA+U; offset from the most stable computed form = 0.000 eV/atom; E = -7.235 eV per atom; DFT formation energy = -2692 meV per atom; theoretical density = 2.85 g cm⁻³
1.0
-4.7378 -2.9466 4.3277
6.1045 -2.8551 4.8645
-2.4016 6.4640 6.8954
O V P Mn Li
28 3 8 1 4
Direct
0.0855 0.4347 0.7997
0.6049 0.1773 0.3016
0.4981 0.8416 0.8774
0.8513 0.8253 0.4755
0.8535 0.8253 0.9726
0.5062 0.8432 0.3768
0.1489 0.3248 0.5246
0.5174 0.0382 0.5936
0.9151 0.9329 0.7002
0.3947 0.6778 0.1986
0.6078 0.1761 0.8011
0.1126 0.6961 0.0667
0.8862 0.2013 0.9355
0.4944 0.3421 0.6237
0.3952 0.6760 0.6970
0.7518 0.6544 0.7030
0.7527 0.6543 0.2021
0.2480 0.1534 0.2975
0.4939 0.3430 0.1235
0.8865 0.1964 0.4332
0.4832 0.5385 0.4065
0.1513 0.3256 0.0245
0.9148 0.9333 0.1991
0.5182 0.0372 0.0937
0.2477 0.1540 0.7979
0.0835 0.4333 0.3000
0.1137 0.6961 0.5661
0.4831 0.5369 0.9060
0.2719 0.4993 0.6079
0.2717 0.4993 0.1070
0.7281 0.9997 0.3928
0.5196 0.6803 0.8007
0.5218 0.6806 0.3000
0.4779 0.1796 0.1997
0.4780 0.1791 0.7008
0.0862 0.2841 0.3934
0.0866 0.2856 0.8938
0.9123 0.7833 0.6080
0.9124 0.7846 0.1069
0.7315 0.9989 0.8923
0.6755 0.3619 0.4120
0.6760 0.3614 0.9123
0.3263 0.8625 0.0864
0.3244 0.8619 0.5882